1.
# Na2Mg2P3NO9

Na2Mg2P3NO9 after structural relaxation (PBE, Materials Project).

Properties
- formation energy from the elements (eV per atom) = -2.666
- E (MP2020) (hartree per atom) = -0.2600
- V (Å³/atom) = 12.0
- calculated total energy (eV per formula unit) = -114.091
- space group = P2_13 (198)

Unit cell a=9.3524 b=9.3524 c=9.3524 alpha=90.00 beta=90.00 gamma=90.00
Positions (direct):
Na (0.4627, 0.9627, 0.5373)
Na (0.9627, 0.5373, 0.4627)
Na (0.5373, 0.4627, 0.9627)
Na (0.0373, 0.0373, 0.0373)
Na (0.7066, 0.2066, 0.2934)
Na (0.2066, 0.2934, 0.7066)
Na (0.2934, 0.7066, 0.2066)
Na (0.7934, 0.7934, 0.7934)
Mg (0.9228, 0.4228, 0.0772)
Mg (0.4228, 0.0772, 0.9228)
Mg (0.0772, 0.9228, 0.4228)
Mg (0.5772, 0.5772, 0.5772)
Mg (0.1019, 0.6019, 0.8981)
Mg (0.6019, 0.8981, 0.1019)
Mg (0.8981, 0.1019, 0.6019)
Mg (0.3981, 0.3981, 0.3981)
P (0.2396, 0.6589, 0.5915)
P (0.4085, 0.7396, 0.8411)
P (0.1589, 0.9085, 0.7604)
P (0.7396, 0.8411, 0.4085)
P (0.9085, 0.7604, 0.1589)
P (0.6589, 0.5915, 0.2396)
P (0.7604, 0.1589, 0.9085)
P (0.5915, 0.2396, 0.6589)
P (0.8411, 0.4085, 0.7396)
P (0.2604, 0.3411, 0.0915)
P (0.0915, 0.2604, 0.3411)
P (0.3411, 0.0915, 0.2604)
N (0.3006, 0.8006, 0.6994)
N (0.8006, 0.6994, 0.3006)
N (0.6994, 0.3006, 0.8006)
N (0.1994, 0.1994, 0.1994)
O (0.6309, 0.7781, 0.5133)
O (0.4867, 0.1309, 0.7219)
O (0.2781, 0.9867, 0.3691)
O (0.1309, 0.7219, 0.4867)
O (0.9867, 0.3691, 0.2781)
O (0.7781, 0.5133, 0.6309)
O (0.3691, 0.2781, 0.9867)
O (0.5133, 0.6309, 0.7781)
O (0.7219, 0.4867, 0.1309)
O (0.8691, 0.2219, 0.0133)
O (0.0133, 0.8691, 0.2219)
O (0.2219, 0.0133, 0.8691)
O (0.3672, 0.6006, 0.5059)
O (0.4941, 0.8672, 0.8994)
O (0.1006, 0.9941, 0.6328)
O (0.8672, 0.8994, 0.4941)
O (0.9941, 0.6328, 0.1006)
O (0.6006, 0.5059, 0.3672)
O (0.6328, 0.1006, 0.9941)
O (0.5059, 0.3672, 0.6006)
O (0.8994, 0.4941, 0.8672)
O (0.1328, 0.3994, 0.0059)
O (0.0059, 0.1328, 0.3994)
O (0.3994, 0.0059, 0.1328)
O (0.1736, 0.5490, 0.6938)
O (0.3062, 0.6736, 0.9510)
O (0.0490, 0.8062, 0.8264)
O (0.6736, 0.9510, 0.3062)
O (0.8062, 0.8264, 0.0490)
O (0.5490, 0.6938, 0.1736)
O (0.8264, 0.0490, 0.8062)
O (0.6938, 0.1736, 0.5490)
O (0.9510, 0.3062, 0.6736)
O (0.3264, 0.4510, 0.1938)
O (0.1938, 0.3264, 0.4510)
O (0.4510, 0.1938, 0.3264)

2.
# Rb2NaYCl6

Rb2NaYCl6 after structural relaxation (PBE, Materials Project).

Properties
- formation energy from the elements (eV per atom) = -2.461
- E (MP2020) (hartree per atom) = -0.1670
- V (Å³/atom) = 31.5
- calculated total energy (eV per formula unit) = -41.771
- space group = Fm-3m (225)

Unit cell a=7.6382 b=7.6382 c=7.6382 alpha=60.00 beta=60.00 gamma=60.00
Positions (direct):
Rb (0.7500, 0.7500, 0.7500)
Rb (0.2500, 0.2500, 0.2500)
Na (0.5000, 0.5000, 0.5000)
Y (0.0000, 0.0000, 0.0000)
Cl (0.7558, 0.2442, 0.2442)
Cl (0.2442, 0.2442, 0.7558)
Cl (0.2442, 0.7558, 0.7558)
Cl (0.2442, 0.7558, 0.2442)
Cl (0.7558, 0.2442, 0.7558)
Cl (0.7558, 0.7558, 0.2442)

3.
# Ba3Si3N5ClO

Ba3Si3N5ClO after structural relaxation (PBE, Materials Project).

Properties
- formation energy from the elements (eV per atom) = -1.561
- E (MP2020) (hartree per atom) = -0.2567
- V (Å³/atom) = 17.0
- calculated total energy (eV per formula unit) = -90.115
- space group = Cc (9)

Unit cell a=9.5871 b=9.5871 c=5.5998 alpha=88.96 beta=88.96 gamma=120.87
Positions (direct):
Ba (0.3664, 0.2129, 0.7637)
Ba (0.8032, 0.1521, 0.7593)
Ba (0.8352, 0.6390, 0.7485)
Ba (0.2129, 0.3664, 0.2637)
Ba (0.1521, 0.8032, 0.2593)
Ba (0.6390, 0.8352, 0.2485)
Si (0.5332, 0.1240, 0.2469)
Si (0.5920, 0.4688, 0.2532)
Si (0.8740, 0.4059, 0.2647)
Si (0.1240, 0.5332, 0.7469)
Si (0.4688, 0.5920, 0.7532)
Si (0.4059, 0.8740, 0.7647)
N (0.4651, 0.2578, 0.2627)
N (0.7390, 0.1992, 0.2641)
N (0.7994, 0.5345, 0.2393)
N (0.0008, 0.4546, 0.5038)
N (0.2578, 0.4651, 0.7627)
N (0.1992, 0.7390, 0.7641)
N (0.5477, 0.5453, 0.5048)
N (0.5453, 0.5477, 0.0048)
N (0.5345, 0.7994, 0.7393)
N (0.4546, 0.0008, 0.0038)
Cl (0.0059, 0.0038, 0.5308)
Cl (0.0038, 0.0059, 0.0308)
O (0.9964, 0.4440, 0.0043)
O (0.4440, 0.9964, 0.5043)

4.
# Cs3AsF6

Cs3AsF6 after structural relaxation (PBE, Materials Project).

Properties
- formation energy from the elements (eV per atom) = -2.755
- E (MP2020) (hartree per atom) = -0.1705
- V (Å³/atom) = 23.7
- calculated total energy (eV per formula unit) = -43.610
- space group = Fm-3m (225)

Unit cell a=6.9506 b=6.9506 c=6.9506 alpha=60.00 beta=60.00 gamma=60.00
Positions (direct):
Cs (0.2500, 0.2500, 0.2500)
Cs (0.7500, 0.7500, 0.7500)
Cs (0.5000, 0.5000, 0.5000)
As (0.0000, 0.0000, 0.0000)
F (0.2118, 0.7882, 0.2118)
F (0.7882, 0.7882, 0.2118)
F (0.7882, 0.2118, 0.7882)
F (0.7882, 0.2118, 0.2118)
F (0.2118, 0.7882, 0.7882)
F (0.2118, 0.2118, 0.7882)